# Ca4P2O9 meta-GGA r2SCAN optimized geometry
# Density (Mg/m³): 3.08
# E (eV/atom): -9.827
# Total magnetic moment (μB/f.u.): 0.0
# ΔH_f (0 K) (eV per atom): -3.166
data_Ca4P2O9
_chemical_formula_sum 'Ca16 P8 O36'
_cell_length_a 7.0060
_cell_length_b 11.9458
_cell_length_c 9.4396
_cell_angle_alpha 90.00
_cell_angle_beta 90.85
_cell_angle_gamma 90.00
_space_group_name_H-M_alt 'P 1 21 1'
_space_group_IT_number 4
_space_group_name_Hall 'P 2yb'
loop_
_atom_site_label
_atom_site_type_symbol
_atom_site_fract_x
_atom_site_fract_y
_atom_site_fract_z
Ca1 Ca 0.0121 0.0000 0.3629
Ca2 Ca 0.0322 0.2255 0.8928
Ca3 Ca 0.2305 0.7654 0.4687
Ca4 Ca 0.2492 0.4909 0.0134
Ca5 Ca 0.2586 0.9607 0.7451
Ca6 Ca 0.2698 0.2695 0.2529
Ca7 Ca 0.4668 0.7707 0.1033
Ca8 Ca 0.4860 0.0164 0.4115
P1 P 0.2327 0.6776 0.7853
P2 P 0.2367 0.5283 0.3196
P3 P 0.2380 0.9925 0.0896
P4 P 0.2906 0.2434 0.6246
O1 O 0.0445 0.7022 0.7059
O2 O 0.0789 0.4525 0.2616
O3 O 0.0822 0.0420 0.9927
O4 O 0.0963 0.3044 0.6261
O5 O 0.1650 0.8836 0.1598
O6 O 0.2111 0.5650 0.4745
O7 O 0.2284 0.7053 0.9443
O8 O 0.2311 0.9417 0.5106
O9 O 0.2467 0.6360 0.2283
O10 O 0.2647 0.3071 0.0155
O11 O 0.2708 0.5498 0.7743
O12 O 0.2883 0.0714 0.2132
O13 O 0.2900 0.1588 0.7495
O14 O 0.3278 0.1865 0.4836
O15 O 0.3864 0.7471 0.7121
O16 O 0.4127 0.9634 0.9994
O17 O 0.4208 0.4603 0.3105
O18 O 0.4577 0.3259 0.6572



# Zr4Co7Ge6 meta-GGA r2SCAN optimized geometry
# Density (Mg/m³): 8.41
# E (eV/atom): -16.243
# Total magnetic moment (μB/f.u.): 0.0
# ΔH_f (0 K) (eV per atom): -0.545
data_Zr4Co7Ge6
_chemical_formula_sum 'Zr8 Co14 Ge12'
_cell_length_a 7.8238
_cell_length_b 7.8238
_cell_length_c 7.8238
_cell_angle_alpha 90.00
_cell_angle_beta 90.00
_cell_angle_gamma 90.00
_space_group_name_H-M_alt 'I m -3 m'
_space_group_IT_number 229
_space_group_name_Hall '-I 4 2 3'
loop_
_atom_site_label
_atom_site_type_symbol
_atom_site_fract_x
_atom_site_fract_y
_atom_site_fract_z
Zr1 Zr 0.2500 0.2500 0.2500
Co1 Co 0.0000 0.0000 0.0000
Co2 Co 0.0000 0.2500 0.5000
Ge1 Ge 0.0000 0.0000 0.3200



# Dy2SO2 meta-GGA r2SCAN optimized geometry
# Density (Mg/m³): 7.87
# E (eV/atom): -20.337
# Total magnetic moment (μB/f.u.): 0.0
# ΔH_f (0 K) (eV per atom): -3.549
data_Dy2SO2
_chemical_formula_sum 'Dy4 S2 O4'
_cell_length_a 3.7731
_cell_length_b 3.7731
_cell_length_c 13.3098
_cell_angle_alpha 90.00
_cell_angle_beta 90.00
_cell_angle_gamma 120.00
_space_group_name_H-M_alt 'P 63/m m c'
_space_group_IT_number 194
_space_group_name_Hall '-P 6c 2c'
loop_
_atom_site_label
_atom_site_type_symbol
_atom_site_fract_x
_atom_site_fract_y
_atom_site_fract_z
Dy1 Dy 0.3333 0.6667 0.1076
S1 S 0.0000 0.0000 0.2500
O1 O 0.3333 0.6667 0.5645



# Ba3Ga3P5 meta-GGA r2SCAN optimized geometry
# Density (Mg/m³): 4.24
# E (eV/atom): -15.340
# Total magnetic moment (μB/f.u.): 0.0
# ΔH_f (0 K) (eV per atom): -0.900
data_Ba3Ga3P5
_chemical_formula_sum 'Ba54 Ga54 P90'
_cell_length_a 14.7388
_cell_length_b 14.7388
_cell_length_c 29.0492
_cell_angle_alpha 90.00
_cell_angle_beta 90.00
_cell_angle_gamma 120.00
_space_group_name_H-M_alt 'R -3 c'
_space_group_IT_number 167
_space_group_name_Hall '-R 3 2"c'
loop_
_atom_site_label
_atom_site_type_symbol
_atom_site_fract_x
_atom_site_fract_y
_atom_site_fract_z
Ba1 Ba 0.0000 0.0000 0.1012
Ba2 Ba 0.0000 0.0000 0.2500
Ba3 Ba 0.0224 0.4680 0.3279
Ga1 Ga 0.0000 0.2708 0.2500
Ga2 Ga 0.0340 0.4737 0.0488
P1 P 0.0000 0.3722 0.7500
P2 P 0.0428 0.2270 0.9296
P3 P 0.0659 0.2034 0.3110



# Ta2Mn4O9 meta-GGA r2SCAN optimized geometry
# Density (Mg/m³): 6.92
# E (eV/atom): -16.546
# Total magnetic moment (μB/f.u.): 0.0
# ΔH_f (0 K) (eV per atom): -2.568
data_Ta2Mn4O9
_chemical_formula_sum 'Ta4 Mn8 O18'
_cell_length_a 5.2941
_cell_length_b 5.2941
_cell_length_c 14.3446
_cell_angle_alpha 90.00
_cell_angle_beta 90.00
_cell_angle_gamma 120.00
_space_group_name_H-M_alt 'P -3 c 1'
_space_group_IT_number 165
_space_group_name_Hall '-P 3 2"c'
loop_
_atom_site_label
_atom_site_type_symbol
_atom_site_fract_x
_atom_site_fract_y
_atom_site_fract_z
Ta1 Ta 0.0000 0.0000 0.1430
Mn1 Mn 0.3333 0.6667 0.0174
Mn2 Mn 0.3333 0.6667 0.3038
O1 O 0.0000 0.2790 0.2500
O2 O 0.0265 0.3377 0.9144



# Sr2HgPb meta-GGA r2SCAN optimized geometry
# Density (Mg/m³): 7.27
# E (eV/atom): -34.686
# Total magnetic moment (μB/f.u.): 0.0
# ΔH_f (0 K) (eV per atom): -0.700
data_Sr2HgPb
_chemical_formula_sum 'Sr8 Hg4 Pb4'
_cell_length_a 8.1076
_cell_length_b 8.1076
_cell_length_c 8.1076
_cell_angle_alpha 90.00
_cell_angle_beta 90.00
_cell_angle_gamma 90.00
_space_group_name_H-M_alt 'F m -3 m'
_space_group_IT_number 225
_space_group_name_Hall '-F 4 2 3'
loop_
_atom_site_label
_atom_site_type_symbol
_atom_site_fract_x
_atom_site_fract_y
_atom_site_fract_z
Sr1 Sr 0.2500 0.2500 0.2500
Hg1 Hg 0.0000 0.0000 0.0000
Pb1 Pb 0.0000 0.0000 0.5000